Entry 1:
The following is a PBE calculation of Bi4I after structural relaxation, from Materials Project.

a = 26.386 Å, b = 4.484 Å, c = 13.525 Å
α = 90.00°, β = 104.74°, γ = 90.00°
Space group C2/m (No. 12)
Inequivalent atoms, fractional coordinates:
Bi (0.014, 0.000, 0.119) x4
Bi (0.035, 0.500, 0.631) x4
Bi (0.064, 0.500, 0.869) x4
Bi (0.080, 0.000, 0.382) x4
Bi (0.114, 0.000, 0.619) x4
Bi (0.129, 0.500, 0.136) x4
Bi (0.159, 0.500, 0.371) x4
Bi (0.209, 0.000, 0.128) x4
I (0.181, 0.000, 0.890) x4
I (0.231, 0.500, 0.637) x4



Entry 2:
The following is a PBE calculation of Hf5Ir3 after structural relaxation, from Materials Project.

a = 7.9734 Å, b = 7.9734 Å, c = 5.5273 Å
α = 90.00°, β = 90.00°, γ = 120.00°
Space group P6_3/mcm (No. 193)
Inequivalent atoms, fractional coordinates:
Hf (0.0000, 0.2404, 0.2500) x6
Hf (0.3333, 0.6667, 0.0000) x4
Ir (0.0000, 0.3991, 0.7500) x6

Results
relative energy among the computed polymorphs = 17 meV per atom



Number 1: electronic total energy -3.50 eV per atom, energy of formation -0.1619 eV/atom. Number 2: electronic total energy -10.34 eV per atom, energy of formation -0.8070 eV/atom.